First-principles (GGA+U) data for a geometry-optimized LiMnPCO7 structure, as listed in the Materials Project database.

Cell: 9.4128 6.2366 10.1757 Å, 90.00 118.36 90.00°
Space group P2_1/c (No. 14)
Unique sites:
Li1 0.2381 0.0330 0.2440 x4
Mn1 0.1725 0.7461 0.4383 x4
P1 0.0748 0.2458 0.9262 x4
C1 0.4528 0.7464 0.1218 x4
O1 0.0349 0.2382 0.0584 x4
O2 0.0859 0.7327 0.7208 x4
O3 0.1761 0.0569 0.4309 x4
O4 0.1883 0.0575 0.9416 x4
O5 0.3296 0.7360 0.6512 x4
O6 0.3982 0.7388 0.9761 x4
O7 0.4043 0.2365 0.2821 x4

Properties
M_tot in μB per formula unit: 3.001
Calculated volume in Å³ per cell: 525.7
Formation energy from the elements in eV/f.u.: -23.97
E above lowest polymorph in meV per atom: 11

---

First-principles (GGA+U) data for a geometry-optimized LiMnPCO7 structure, as listed in the Materials Project database.

Cell: 6.2369 8.3459 10.2252 Å, 94.23 90.29 90.97°
Space group P1 (No. 1)
Unique sites:
Li1 0.0000 0.0000 0.0000 x1
Li2 0.9998 0.0026 0.4997 x1
Li3 0.0569 0.5204 0.2528 x1
Li4 0.4954 0.5191 0.7532 x1
Mn1 0.2812 0.9306 0.7740 x1
Mn2 0.2839 0.9313 0.2744 x1
Mn3 0.7781 0.5897 0.4803 x1
Mn4 0.7799 0.5900 0.9804 x1
P1 0.2742 0.6864 0.0154 x1
P2 0.2780 0.6867 0.5151 x1
P3 0.7757 0.8350 0.7390 x1
P4 0.7854 0.8345 0.2394 x1
C1 0.2698 0.2106 0.2322 x1
C2 0.2741 0.2103 0.7318 x1
C3 0.7784 0.3096 0.5222 x1
C4 0.7834 0.3099 0.0219 x1
O1 0.0835 0.5734 0.9728 x1
O2 0.0872 0.5724 0.4715 x1
O3 0.2550 0.0876 0.6412 x1
O4 0.2550 0.3522 0.2082 x1
O5 0.2620 0.8461 0.4486 x1
O6 0.2642 0.7261 0.1666 x1
O7 0.2683 0.8460 0.9487 x1
O8 0.2686 0.0879 0.1411 x1
O9 0.2828 0.1559 0.8494 x1
O10 0.2833 0.7256 0.6665 x1
O11 0.2868 0.3521 0.7072 x1
O12 0.2882 0.1567 0.3495 x1
O13 0.4699 0.5852 0.9726 x1
O14 0.4740 0.5878 0.4724 x1
O15 0.5849 0.9455 0.7699 x1
O16 0.5869 0.9321 0.2766 x1
O17 0.7544 0.6753 0.8054 x1
O18 0.7590 0.4315 0.6128 x1
O19 0.7631 0.3646 0.9050 x1
O20 0.7812 0.3644 0.4046 x1
O21 0.7884 0.4321 0.1134 x1
O22 0.7953 0.1683 0.5465 x1
O23 0.7989 0.1680 0.0451 x1
O24 0.7999 0.6748 0.3058 x1
O25 0.8025 0.7951 0.5886 x1
O26 0.8041 0.7955 0.0883 x1
O27 0.9705 0.9376 0.7931 x1
O28 0.9733 0.9497 0.2877 x1

Properties
M_tot in μB per formula unit: 3.000
Calculated volume in Å³ per cell: 530.7
Formation energy from the elements in eV/f.u.: -23.99
E above lowest polymorph in meV per atom: 9

---

First-principles (GGA+U) data for a geometry-optimized Li6MnVP2C2O14 structure, as listed in the Materials Project database.

Cell: 5.0072 6.6013 8.5648 Å, 90.00 96.42 90.00°
Space group Pm (No. 6)
Unique sites:
Li1 0.0000 0.0000 0.0000 x1
Li2 0.0606 0.2733 0.6205 x2
Li3 0.5270 0.2258 0.1702 x2
Li4 0.5914 0.5000 0.7915 x1
Mn1 0.5760 0.0000 0.5587 x1
V1 0.0024 0.5000 0.2227 x1
P1 0.0617 0.0000 0.3046 x1
P2 0.5272 0.5000 0.4853 x1
C1 0.1231 0.5000 0.9333 x1
C2 0.4672 0.0000 0.8605 x1
O1 0.1881 0.5000 0.7911 x1
O2 0.2127 0.5000 0.4649 x1
O3 0.2815 0.0000 0.7403 x1
O4 0.3066 0.5000 0.0547 x1
O5 0.3762 0.0000 0.3212 x1
O6 0.3998 0.0000 0.0029 x1
O7 0.6255 0.5000 0.3212 x1
O8 0.6355 0.3163 0.5884 x2
O9 0.7157 0.0000 0.8336 x1
O10 0.8745 0.5000 0.9631 x1
O11 0.9516 0.1835 0.2031 x2
O12 0.9727 0.0000 0.4714 x1

Properties
M_tot in μB per formula unit: 6.004
Calculated volume in Å³ per cell: 281.3
Formation energy from the elements in eV/f.u.: -62.12

---

First-principles (GGA+U) data for a geometry-optimized Li2MnCSO7 structure, as listed in the Materials Project database.

Cell: 4.9525 9.3869 13.0103 Å, 89.97 89.97 81.94°
Space group P-1 (No. 2)
Unique sites:
Li1 0.2086 0.1645 0.2572 x2
Li2 0.2087 0.1645 0.4925 x2
Li3 0.2088 0.1644 0.7573 x2
Li4 0.2087 0.1645 0.9924 x2
Mn1 0.2506 0.6377 0.1251 x2
Mn2 0.2517 0.6377 0.6249 x2
C1 0.2756 0.9231 0.1251 x2
C2 0.2757 0.9233 0.6250 x2
S1 0.2264 0.5991 0.3750 x2
S2 0.2265 0.5991 0.8751 x2
O1 0.0349 0.8814 0.1250 x2
O2 0.0352 0.8816 0.6250 x2
O3 0.1254 0.6848 0.2829 x2
O4 0.1251 0.6851 0.4670 x2
O5 0.1253 0.6850 0.9671 x2
O6 0.1256 0.6849 0.7829 x2
O7 0.1345 0.4558 0.3749 x2
O8 0.1350 0.4558 0.8749 x2
O9 0.3072 0.0565 0.1248 x2
O10 0.3072 0.0565 0.6248 x2
O11 0.4683 0.4235 0.1249 x2
O12 0.4684 0.4234 0.6249 x2
O13 0.4881 0.8208 0.1250 x2
O14 0.4884 0.8211 0.6250 x2

Properties
M_tot in μB per formula unit: 0.000
Calculated volume in Å³ per cell: 598.9
Formation energy from the elements in eV/f.u.: -25.43